[1]
Computed, not measured: Ba2HoMoO6 after structural relaxation at the PBE with a Hubbard U level of DFT.

Calculated values
E = -0.5300 Ry/atom
spin magnetization = 0.1000 μB per atom

Lattice parameters (Å, degrees): 6.002 6.002 6.002 60.00 60.00 60.00
Element x y z (fractional)
Ba 0.250 0.250 0.250
Ba 0.750 0.750 0.750
Ho 0.500 0.500 0.500
Mo 0.000 0.000 0.000
O 0.763 0.237 0.237
O 0.237 0.763 0.763
O 0.237 0.763 0.237
O 0.763 0.237 0.763
O 0.237 0.237 0.763
O 0.763 0.763 0.237


[2]
Computed, not measured: BaNiIO6 after structural relaxation at the PBE with a Hubbard U level of DFT.

Calculated values
E = -0.3756 Ry/atom

Lattice parameters (Å, degrees): 5.170 5.170 5.846 90.00 90.00 120.00
Element x y z (fractional)
Ba 0.000 0.000 0.000
Ni 0.333 0.667 0.500
I 0.667 0.333 0.500
O 0.391 0.008 0.687
O 0.992 0.383 0.687
O 0.617 0.609 0.687
O 0.992 0.609 0.313
O 0.617 0.008 0.313
O 0.391 0.383 0.313


[3]
Computed, not measured: Ba4La6Mn5In5O30 after structural relaxation at the PBE with a Hubbard U level of DFT.

Calculated values
E = -0.5162 Ry/atom
spin magnetization = 0.3200 μB per atom

Lattice parameters (Å, degrees): 5.778 5.778 23.850 82.54 82.54 59.57
Element x y z (fractional)
Ba 0.448 0.448 0.153
Ba 0.148 0.148 0.057
Ba 0.753 0.753 0.247
Ba 0.351 0.351 0.444
La 0.047 0.047 0.338
La 0.641 0.641 0.544
La 0.245 0.245 0.757
La 0.958 0.958 0.636
La 0.840 0.840 0.967
La 0.556 0.556 0.858
Mn 0.797 0.797 0.105
Mn 0.506 0.506 0.006
Mn 0.406 0.406 0.298
Mn 0.097 0.097 0.199
Mn 0.003 0.003 0.494
In 0.701 0.701 0.397
In 0.602 0.602 0.700
In 0.297 0.297 0.597
In 0.193 0.193 0.906
In 0.902 0.902 0.802
O 0.637 0.637 0.058
O 0.453 0.955 0.152
O 0.651 0.131 0.047
O 0.247 0.247 0.261
O 0.080 0.583 0.347
O 0.243 0.764 0.250
O 0.955 0.453 0.152
O 0.131 0.651 0.047
O 0.823 0.823 0.466
O 0.948 0.948 0.149
O 0.689 0.175 0.552
O 0.847 0.303 0.439
O 0.583 0.080 0.347
O 0.764 0.243 0.250
O 0.400 0.400 0.670
O 0.561 0.561 0.338
O 0.305 0.791 0.769
O 0.412 0.895 0.631
O 0.175 0.689 0.552
O 0.303 0.847 0.439
O 0.993 0.993 0.881
O 0.159 0.159 0.531
O 0.842 0.398 0.961
O 0.011 0.505 0.840
O 0.791 0.305 0.769
O 0.895 0.412 0.631
O 0.808 0.808 0.723
O 0.398 0.842 0.961
O 0.505 0.011 0.840
O 0.381 0.381 0.945


[4]
Computed, not measured: BaSrInWO6 after structural relaxation at the PBE with a Hubbard U level of DFT.

Calculated values
E = -0.4829 Ry/atom
excess energy over the best structure of this formula in the dataset = 0.092 eV per atom
spin magnetization = 0.1000 μB per atom

Lattice parameters (Å, degrees): 5.890 5.890 5.890 60.00 60.00 60.00
Element x y z (fractional)
Ba 0.750 0.750 0.750
Sr 0.250 0.250 0.250
In 0.000 0.000 0.000
W 0.500 0.500 0.500
O 0.741 0.259 0.259
O 0.259 0.741 0.741
O 0.741 0.259 0.741
O 0.259 0.741 0.259
O 0.741 0.741 0.259
O 0.259 0.259 0.741


[5]
Computed, not measured: BaSrInWO6 after structural relaxation at the PBE with a Hubbard U level of DFT.

Calculated values
E = -0.4897 Ry/atom
excess energy over the best structure of this formula in the dataset = 0.000 eV per atom
spin magnetization = 0.1000 μB per atom

Lattice parameters (Å, degrees): 5.873 5.868 8.382 89.88 89.99 90.06
Element x y z (fractional)
Ba 0.501 0.505 0.250
Ba 0.499 0.495 0.750
Sr 0.003 0.007 0.250
Sr 0.997 0.993 0.750
In 0.000 0.500 0.000
In 0.500 0.000 0.500
W 0.500 0.000 0.000
W 0.000 0.500 0.500
O 0.242 0.219 0.984
O 0.247 0.730 0.517
O 0.758 0.781 0.016
O 0.753 0.270 0.483
O 0.269 0.750 0.980
O 0.220 0.239 0.519
O 0.731 0.250 0.020
O 0.780 0.761 0.481
O 0.459 0.002 0.243
O 0.029 0.497 0.257
O 0.541 0.998 0.757
O 0.971 0.503 0.743


[6]
Computed, not measured: Ba2V3InO11 after structural relaxation at the PBE with a Hubbard U level of DFT.

Calculated values
E = -0.5215 Ry/atom
spin magnetization = 0.0000 μB per atom

Lattice parameters (Å, degrees): 7.707 12.281 11.601 103.49 90.00 90.00
Element x y z (fractional)
Ba 0.274 0.776 0.944
Ba 0.726 0.224 0.056
Ba 0.774 0.224 0.556
Ba 0.226 0.776 0.444
Ba 0.747 0.558 0.890
Ba 0.253 0.442 0.110
Ba 0.247 0.442 0.610
Ba 0.753 0.558 0.390
V 0.763 0.906 0.975
V 0.237 0.094 0.025
V 0.263 0.094 0.525
V 0.737 0.906 0.475
V 0.519 0.687 0.672
V 0.481 0.313 0.328
V 0.019 0.313 0.828
V 0.981 0.687 0.172
V 0.982 0.691 0.674
V 0.018 0.309 0.326
V 0.482 0.309 0.826
V 0.518 0.691 0.174
In 0.492 0.999 0.748
In 0.508 0.001 0.252
In 0.992 0.001 0.752
In 0.008 0.999 0.248
O 0.448 0.826 0.715
O 0.552 0.174 0.285
O 0.948 0.174 0.785
O 0.052 0.826 0.215
O 0.548 0.170 0.800
O 0.452 0.830 0.200
O 0.048 0.830 0.700
O 0.952 0.170 0.300
O 0.751 0.666 0.667
O 0.249 0.334 0.333
O 0.251 0.334 0.833
O 0.749 0.666 0.167
O 0.945 0.375 0.966
O 0.055 0.625 0.034
O 0.445 0.625 0.534
O 0.555 0.375 0.466
O 0.938 0.388 0.733
O 0.062 0.612 0.267
O 0.438 0.612 0.767
O 0.562 0.388 0.233
O 0.775 0.991 0.622
O 0.225 0.009 0.378
O 0.275 0.009 0.878
O 0.725 0.991 0.122
O 0.973 0.868 0.970
O 0.027 0.132 0.030
O 0.473 0.132 0.530
O 0.527 0.868 0.470
O 0.638 0.788 0.946
O 0.362 0.212 0.054
O 0.138 0.212 0.554
O 0.862 0.788 0.446
O 0.735 0.986 0.861
O 0.265 0.014 0.139
O 0.235 0.014 0.639
O 0.765 0.986 0.361
O 0.559 0.370 0.720
O 0.441 0.630 0.280
O 0.059 0.630 0.780
O 0.941 0.370 0.220
O 0.565 0.383 0.958
O 0.435 0.617 0.042
O 0.065 0.617 0.542
O 0.935 0.383 0.458


[7]
Computed, not measured: BaVInWO6 after structural relaxation at the PBE with a Hubbard U level of DFT.

Calculated values
E = -0.5071 Ry/atom
spin magnetization = 0.2042 μB per atom

Lattice parameters (Å, degrees): 5.758 5.758 5.758 60.00 60.00 60.00
Element x y z (fractional)
Ba 0.750 0.750 0.750
V 0.000 0.000 0.000
In 0.250 0.250 0.250
W 0.500 0.500 0.500
O 0.742 0.258 0.258
O 0.258 0.742 0.742
O 0.742 0.258 0.742
O 0.258 0.742 0.258
O 0.742 0.742 0.258
O 0.258 0.258 0.742


[8]
Computed, not measured: BaYInWO6 after structural relaxation at the PBE with a Hubbard U level of DFT.

Calculated values
E = -0.5327 Ry/atom
spin magnetization = 0.0000 μB per atom

Lattice parameters (Å, degrees): 6.000 6.000 6.000 60.00 60.00 60.00
Element x y z (fractional)
Ba 0.250 0.250 0.250
Y 0.500 0.500 0.500
In 0.750 0.750 0.750
W 0.000 0.000 0.000
O 0.768 0.232 0.232
O 0.232 0.768 0.768
O 0.768 0.232 0.768
O 0.232 0.768 0.232
O 0.768 0.768 0.232
O 0.232 0.232 0.768


[9]
Computed, not measured: BaYInWO6 after structural relaxation at the PBE with a Hubbard U level of DFT.

Calculated values
E = -0.5326 Ry/atom
spin magnetization = 0.0000 μB per atom

Lattice parameters (Å, degrees): 8.506 8.489 8.489 90.00 90.00 90.00
Element x y z (fractional)
Ba 0.000 0.000 0.000
Ba 0.500 0.500 0.500
Ba 0.000 0.500 0.500
Ba 0.500 0.000 0.000
Y 0.250 0.250 0.250
Y 0.750 0.750 0.250
Y 0.750 0.250 0.750
Y 0.250 0.750 0.750
In 0.500 0.000 0.500
In 0.500 0.500 0.000
In 0.000 0.500 0.000
In 0.000 0.000 0.500
W 0.750 0.750 0.750
W 0.250 0.250 0.750
W 0.250 0.750 0.250
W 0.750 0.250 0.250
O 0.981 0.249 0.257
O 0.019 0.751 0.257
O 0.019 0.249 0.743
O 0.981 0.751 0.743
O 0.252 0.981 0.237
O 0.252 0.019 0.763
O 0.748 0.019 0.237
O 0.748 0.981 0.763
O 0.243 0.248 0.981
O 0.757 0.248 0.019
O 0.243 0.752 0.019
O 0.757 0.752 0.981
O 0.519 0.251 0.243
O 0.481 0.749 0.243
O 0.481 0.251 0.757
O 0.519 0.749 0.757
O 0.248 0.519 0.263
O 0.248 0.481 0.737
O 0.752 0.481 0.263
O 0.752 0.519 0.737
O 0.257 0.252 0.519
O 0.743 0.252 0.481
O 0.257 0.748 0.481
O 0.743 0.748 0.519


[10]
Computed, not measured: Ba3NiIr2O9 after structural relaxation at the PBE with a Hubbard U level of DFT.

Calculated values
E = -0.4692 Ry/atom
spin magnetization = 0.0003 μB per atom

Lattice parameters (Å, degrees): 5.825 5.825 28.706 90.00 90.00 60.00
Element x y z (fractional)
Ba 0.000 0.000 0.125
Ba 0.000 0.000 0.625
Ba 0.000 0.000 0.375
Ba 0.000 0.000 0.875
Ba 0.667 0.667 0.458
Ba 0.667 0.667 0.958
Ba 0.333 0.333 0.208
Ba 0.333 0.333 0.708
Ba 0.333 0.333 0.042
Ba 0.333 0.333 0.542
Ba 0.667 0.667 0.292
Ba 0.667 0.667 0.792
Ni 0.000 0.000 0.500
Ni 0.000 0.000 0.750
Ni 0.000 0.000 0.000
Ni 0.000 0.000 0.250
Ir 0.667 0.667 0.080
Ir 0.667 0.667 0.580
Ir 0.333 0.333 0.330
Ir 0.333 0.333 0.830
Ir 0.333 0.333 0.420
Ir 0.333 0.333 0.920
Ir 0.667 0.667 0.170
Ir 0.667 0.667 0.670
O 0.510 0.979 0.125
O 0.511 0.979 0.625
O 0.021 0.489 0.375
O 0.021 0.490 0.875
O 0.489 0.489 0.375
O 0.490 0.490 0.875
O 0.510 0.510 0.125
O 0.511 0.511 0.625
O 0.979 0.510 0.125
O 0.979 0.511 0.625
O 0.489 0.021 0.375
O 0.490 0.021 0.875
O 0.828 0.344 0.209
O 0.828 0.344 0.709
O 0.656 0.172 0.459
O 0.656 0.172 0.959
O 0.172 0.172 0.459
O 0.172 0.172 0.959
O 0.828 0.828 0.209
O 0.828 0.828 0.709
O 0.344 0.828 0.209
O 0.344 0.828 0.709
O 0.172 0.656 0.291
O 0.172 0.656 0.791
O 0.656 0.172 0.291
O 0.656 0.172 0.791
O 0.172 0.656 0.459
O 0.172 0.656 0.959
O 0.172 0.172 0.291
O 0.172 0.172 0.791
O 0.828 0.828 0.041
O 0.828 0.828 0.541
O 0.828 0.344 0.041
O 0.828 0.344 0.541
O 0.344 0.828 0.041
O 0.344 0.828 0.541


[11]
Computed, not measured: KBaLaMnO6 after structural relaxation at the PBE with a Hubbard U level of DFT.

Calculated values
E = -0.4758 Ry/atom
excess energy over the best structure of this formula in the dataset = 0.004 eV per atom
spin magnetization = 0.1000 μB per atom

Lattice parameters (Å, degrees): 8.538 8.567 8.579 90.00 90.00 90.00
Element x y z (fractional)
K 0.000 0.500 0.500
K 0.500 0.000 0.500
K 0.500 0.000 0.000
K 0.000 0.500 0.000
Ba 0.500 0.500 0.000
Ba 0.000 0.000 0.500
Ba 0.000 0.000 0.000
Ba 0.500 0.500 0.500
La 0.750 0.750 0.750
La 0.250 0.250 0.750
La 0.250 0.750 0.250
La 0.750 0.250 0.250
Mn 0.250 0.250 0.250
Mn 0.750 0.750 0.250
Mn 0.750 0.250 0.750
Mn 0.250 0.750 0.750
O 0.024 0.232 0.258
O 0.976 0.768 0.258
O 0.976 0.232 0.742
O 0.024 0.768 0.742
O 0.249 0.025 0.242
O 0.249 0.975 0.758
O 0.751 0.975 0.242
O 0.751 0.025 0.758
O 0.242 0.258 0.026
O 0.758 0.258 0.974
O 0.242 0.742 0.974
O 0.758 0.742 0.026
O 0.476 0.268 0.242
O 0.524 0.732 0.242
O 0.524 0.268 0.758
O 0.476 0.732 0.758
O 0.251 0.475 0.258
O 0.251 0.525 0.742
O 0.749 0.525 0.258
O 0.749 0.475 0.742
O 0.258 0.242 0.474
O 0.742 0.242 0.526
O 0.258 0.758 0.526
O 0.742 0.758 0.474


[12]
Computed, not measured: KBaLaMnO6 after structural relaxation at the PBE with a Hubbard U level of DFT.

Calculated values
E = -0.4762 Ry/atom
excess energy over the best structure of this formula in the dataset = 0.000 eV per atom
spin magnetization = 0.1000 μB per atom

Lattice parameters (Å, degrees): 6.057 6.057 6.057 60.00 60.00 60.00
Element x y z (fractional)
K 0.750 0.750 0.750
Ba 0.250 0.250 0.250
La 0.000 0.000 0.000
Mn 0.500 0.500 0.500
O 0.725 0.275 0.275
O 0.275 0.725 0.725
O 0.725 0.275 0.725
O 0.275 0.725 0.275
O 0.725 0.725 0.275
O 0.275 0.275 0.725


no.,ρ (g/cm3),formation energy from the elements (eV per formula unit)
1,6.86,-30.5
2,5.14,-13.7
3,6.63,-134.8
4,7.12,-25.3
5,7.12,-26.2
6,4.47,-45.0
7,7.17,-22.8
8,6.75,-27.3
9,6.73,-27.2
10,7.87,-30.7
11,4.94,-23.7
12,4.93,-23.8